Ba3Nb2N4, optimized geometry, DFT PBE; energy above the lowest structure with this stoichiometry = 0.0 kJ/mol of atoms; formation energy = -0.93 eV per atom; theoretical density = 4.75 Mg/m³
1.0
9.7136 2.1116 1.5222
-5.3287 6.8095 0.0000
0.9890 0.7740 6.1213
N Nb Ba
8 4 6
Direct
0.3387 0.3505 0.1136
0.6613 0.0119 0.3864
0.5961 0.2228 0.8205
0.3387 0.9881 0.6136
0.6613 0.6495 0.8864
0.4039 0.6267 0.6795
0.4039 0.7772 0.1795
0.5961 0.3733 0.3205
0.5710 0.3935 0.0238
0.5710 0.1775 0.5238
0.4290 0.8225 0.4762
0.4290 0.6065 0.9762
0.2778 0.2938 0.5884
0.0000 0.7197 0.7500
0.0000 0.2803 0.2500
0.2778 0.9840 0.0884
0.7222 0.7062 0.4116
0.7222 0.0160 0.9116